Density functional theory data (PBE) for a relaxed CsLiCl2 crystal.

Cell and atoms, written as CIF:
```
data_CsLiCl2
_chemical_formula_sum 'Cs2 Li2 Cl4'
_symmetry_space_group_name_H-M 'P 4/n m m'
_symmetry_Int_Tables_number 129
_cell_length_a 4.9469
_cell_length_b 4.9469
_cell_length_c 9.6491
_cell_angle_alpha 90.00
_cell_angle_beta 90.00
_cell_angle_gamma 90.00
loop_
_symmetry_equiv_pos_as_xyz
'x,y,z'
'-x,-y,-z'
'-y+1/2,x,z'
'y+1/2,-x,-z'
'-x+1/2,-y+1/2,z'
'x+1/2,y+1/2,-z'
'y,-x+1/2,z'
'-y,x+1/2,-z'
'x+1/2,-y,-z'
'-x+1/2,y,z'
'-y,-x,-z'
'y,x,z'
'-x,y+1/2,-z'
'x,-y+1/2,z'
'y+1/2,x+1/2,-z'
'-y+1/2,-x+1/2,z'
loop_
_atom_site_label
_atom_site_type_symbol
_atom_site_fract_x
_atom_site_fract_y
_atom_site_fract_z
Cs1 Cs 0.2500 0.2500 0.1962
Li1 Li 0.2500 0.2500 0.5846
Cl1 Cl 0.2500 0.2500 0.8304
Cl2 Cl 0.2500 0.7500 0.5000
```

DFT formation energy: -2.19 eV per atom